VASP calculation (PBE) on a relaxed TbCo4B crystal.

Lattice parameters (Å, degrees): 5.0014 5.0014 6.8289 90.00 90.00 120.00
Atoms (fractional coordinates):
Tb: 0.0000 0.0000 0.0000
Tb: 0.0000 0.0000 0.5000
Co: 0.0000 0.5000 0.2120
Co: 0.0000 0.5000 0.7880
Co: 0.3333 0.6667 0.5000
Co: 0.5000 0.0000 0.2120
Co: 0.5000 0.0000 0.7880
Co: 0.5000 0.5000 0.2120
Co: 0.5000 0.5000 0.7880
Co: 0.6667 0.3333 0.5000
B: 0.3333 0.6667 0.0000
B: 0.6667 0.3333 0.0000

* volume: 12.3 A^3/atom
* space group: P6/mmm
* raw total energy: -6.9198 eV/atom
* formation enthalpy at 0 K: -295 meV per atom

---

VASP calculation (PBE) on a relaxed Th2CoB10 crystal.

Lattice parameters (Å, degrees): 5.6176 11.2194 4.1793 90.00 90.00 90.00
Atoms (fractional coordinates):
Th: 0.1982 0.1345 0.0000
Th: 0.3018 0.6345 0.0000
Th: 0.6982 0.3655 0.0000
Th: 0.8018 0.8655 0.0000
Co: 0.0000 0.5000 0.5000
Co: 0.5000 0.0000 0.5000
B: 0.0347 0.3128 0.5000
B: 0.1271 0.9600 0.5000
B: 0.1527 0.8029 0.5000
B: 0.2008 0.3865 0.2001
B: 0.2008 0.3865 0.7999
B: 0.2992 0.8865 0.2001
B: 0.2992 0.8865 0.7999
B: 0.3473 0.3029 0.5000
B: 0.3729 0.4600 0.5000
B: 0.4653 0.8128 0.5000
B: 0.5347 0.1872 0.5000
B: 0.6271 0.5400 0.5000
B: 0.6527 0.6971 0.5000
B: 0.7008 0.1135 0.2001
B: 0.7008 0.1135 0.7999
B: 0.7992 0.6135 0.2001
B: 0.7992 0.6135 0.7999
B: 0.8473 0.1971 0.5000
B: 0.8729 0.0400 0.5000
B: 0.9653 0.6872 0.5000

* volume: 10.1 A^3/atom
* space group: Pbam
* raw total energy: -7.4458 eV/atom
* formation enthalpy at 0 K: -620 meV per atom

---

VASP calculation (PBE) on a relaxed Ti2Co21B6 crystal.

Lattice parameters (Å, degrees): 7.3997 7.3997 7.3997 60.00 60.00 60.00
Atoms (fractional coordinates):
Ti: 0.2500 0.2500 0.2500
Ti: 0.7500 0.7500 0.7500
Co: 0.0000 0.0000 0.0000
Co: 0.0000 0.0000 0.3382
Co: 0.0000 0.0000 0.6618
Co: 0.0000 0.3382 0.0000
Co: 0.0000 0.3382 0.6618
Co: 0.0000 0.6618 0.0000
Co: 0.0000 0.6618 0.3382
Co: 0.1463 0.6179 0.6179
Co: 0.3382 0.0000 0.0000
Co: 0.3382 0.0000 0.6618
Co: 0.3382 0.6618 0.0000
Co: 0.3821 0.3821 0.3821
Co: 0.3821 0.3821 0.8537
Co: 0.3821 0.8537 0.3821
Co: 0.6179 0.1463 0.6179
Co: 0.6179 0.6179 0.1463
Co: 0.6179 0.6179 0.6179
Co: 0.6618 0.0000 0.0000
Co: 0.6618 0.0000 0.3382
Co: 0.6618 0.3382 0.0000
Co: 0.8537 0.3821 0.3821
B: 0.2752 0.2752 0.7248
B: 0.2752 0.7248 0.2752
B: 0.2752 0.7248 0.7248
B: 0.7248 0.2752 0.2752
B: 0.7248 0.2752 0.7248
B: 0.7248 0.7248 0.2752

* volume: 9.9 A^3/atom
* space group: Fm-3m
* raw total energy: -7.3694 eV/atom
* formation enthalpy at 0 K: -296 meV per atom

---

VASP calculation (PBE) on a relaxed Tm4CoB13 crystal.

Lattice parameters (Å, degrees): 7.2532 7.2532 6.8126 90.00 90.00 90.00
Atoms (fractional coordinates):
Tm: 0.1816 0.3151 0.0000
Tm: 0.1849 0.3184 0.5000
Tm: 0.3151 0.8184 0.0000
Tm: 0.3184 0.8151 0.5000
Tm: 0.6816 0.1849 0.5000
Tm: 0.6849 0.1816 0.0000
Tm: 0.8151 0.6816 0.5000
Tm: 0.8184 0.6849 0.0000
Co: 0.0000 0.0000 0.5000
Co: 0.5000 0.5000 0.0000
B: 0.0000 0.0000 0.0000
B: 0.0390 0.8294 0.2459
B: 0.0390 0.8294 0.7541
B: 0.0902 0.5902 0.2500
B: 0.0902 0.5902 0.7500
B: 0.1706 0.0390 0.2459
B: 0.1706 0.0390 0.7541
B: 0.3294 0.5390 0.2541
B: 0.3294 0.5390 0.7459
B: 0.4098 0.0902 0.2500
B: 0.4098 0.0902 0.7500
B: 0.4610 0.3294 0.2541
B: 0.4610 0.3294 0.7459
B: 0.5000 0.5000 0.5000
B: 0.5390 0.6706 0.2541
B: 0.5390 0.6706 0.7459
B: 0.5902 0.9098 0.2500
B: 0.5902 0.9098 0.7500
B: 0.6706 0.4610 0.2541
B: 0.6706 0.4610 0.7459
B: 0.8294 0.9610 0.2459
B: 0.8294 0.9610 0.7541
B: 0.9098 0.4098 0.2500
B: 0.9098 0.4098 0.7500
B: 0.9610 0.1706 0.2459
B: 0.9610 0.1706 0.7541

* volume: 10.0 A^3/atom
* space group: P4/mnc
* raw total energy: -6.7306 eV/atom
* formation enthalpy at 0 K: -517 meV per atom

---

VASP calculation (PBE) on a relaxed TmCo3B2 crystal.

Lattice parameters (Å, degrees): 4.9568 4.9568 3.0273 90.00 90.00 120.00
Atoms (fractional coordinates):
Tm: 0.0000 0.0000 0.0000
Co: 0.0000 0.5000 0.5000
Co: 0.5000 0.0000 0.5000
Co: 0.5000 0.5000 0.5000
B: 0.3333 0.6667 0.0000
B: 0.6667 0.3333 0.0000

* volume: 10.7 A^3/atom
* space group: P6/mmm
* raw total energy: -7.0568 eV/atom
* formation enthalpy at 0 K: -530 meV per atom

---

VASP calculation (PBE) on a relaxed UCo4B crystal.

Lattice parameters (Å, degrees): 4.8775 4.8775 6.9003 90.00 90.00 120.00
Atoms (fractional coordinates):
U: 0.0000 0.0000 0.0000
U: 0.0000 0.0000 0.5000
Co: 0.0000 0.5000 0.2115
Co: 0.0000 0.5000 0.7885
Co: 0.3333 0.6667 0.5000
Co: 0.5000 0.0000 0.2115
Co: 0.5000 0.0000 0.7885
Co: 0.5000 0.5000 0.2115
Co: 0.5000 0.5000 0.7885
Co: 0.6667 0.3333 0.5000
B: 0.3333 0.6667 0.0000
B: 0.6667 0.3333 0.0000

* volume: 11.8 A^3/atom
* space group: P6/mmm
* raw total energy: -8.0105 eV/atom
* formation enthalpy at 0 K: -276 meV per atom

---

VASP calculation (PBE) on a relaxed UCo3B2 crystal.

Lattice parameters (Å, degrees): 4.9773 4.9773 3.0071 90.00 90.00 120.00
Atoms (fractional coordinates):
U: 0.0000 0.0000 0.0000
Co: 0.0000 0.5000 0.5000
Co: 0.5000 0.0000 0.5000
Co: 0.5000 0.5000 0.5000
B: 0.3333 0.6667 0.0000
B: 0.6667 0.3333 0.0000

* volume: 10.8 A^3/atom
* space group: P6/mmm
* raw total energy: -8.1043 eV/atom
* formation enthalpy at 0 K: -442 meV per atom

---

VASP calculation (PBE) on a relaxed U3Co7B2 crystal.

Lattice parameters (Å, degrees): 4.9510 4.9510 13.9324 90.00 90.00 120.00
Atoms (fractional coordinates):
U: 0.3333 0.6667 0.0300
U: 0.3333 0.6667 0.2500
U: 0.3333 0.6667 0.4700
U: 0.6667 0.3333 0.5300
U: 0.6667 0.3333 0.7500
U: 0.6667 0.3333 0.9700
Co: 0.0000 0.0000 0.0000
Co: 0.0000 0.0000 0.5000
Co: 0.1652 0.3304 0.6465
Co: 0.1652 0.3304 0.8535
Co: 0.1652 0.8348 0.6465
Co: 0.1652 0.8348 0.8535
Co: 0.3304 0.1652 0.1465
Co: 0.3304 0.1652 0.3535
Co: 0.6696 0.8348 0.6465
Co: 0.6696 0.8348 0.8535
Co: 0.8348 0.1652 0.1465
Co: 0.8348 0.1652 0.3535
Co: 0.8348 0.6696 0.1465
Co: 0.8348 0.6696 0.3535
B: 0.0000 0.0000 0.2500
B: 0.0000 0.0000 0.7500
B: 0.3333 0.6667 0.7500
B: 0.6667 0.3333 0.2500

* volume: 12.3 A^3/atom
* space group: P6_3/mmc
* raw total energy: -8.4464 eV/atom
* formation enthalpy at 0 K: -364 meV per atom

---

VASP calculation (PBE) on a relaxed U2Co21B6 crystal.

Lattice parameters (Å, degrees): 7.5024 7.5024 7.5024 60.00 60.00 60.00
Atoms (fractional coordinates):
U: 0.2500 0.2500 0.2500
U: 0.7500 0.7500 0.7500
Co: 0.0000 0.0000 0.0000
Co: 0.0000 0.0000 0.3359
Co: 0.0000 0.0000 0.6641
Co: 0.0000 0.3359 0.0000
Co: 0.0000 0.3359 0.6641
Co: 0.0000 0.6641 0.0000
Co: 0.0000 0.6641 0.3359
Co: 0.1491 0.6170 0.6170
Co: 0.3359 0.0000 0.0000
Co: 0.3359 0.0000 0.6641
Co: 0.3359 0.6641 0.0000
Co: 0.3830 0.3830 0.3830
Co: 0.3830 0.3830 0.8509
Co: 0.3830 0.8509 0.3830
Co: 0.6170 0.1491 0.6170
Co: 0.6170 0.6170 0.1491
Co: 0.6170 0.6170 0.6170
Co: 0.6641 0.0000 0.0000
Co: 0.6641 0.0000 0.3359
Co: 0.6641 0.3359 0.0000
Co: 0.8509 0.3830 0.3830
B: 0.2742 0.2742 0.7258
B: 0.2742 0.7258 0.2742
B: 0.2742 0.7258 0.7258
B: 0.7258 0.2742 0.2742
B: 0.7258 0.2742 0.7258
B: 0.7258 0.7258 0.2742

* volume: 10.3 A^3/atom
* space group: Fm-3m
* raw total energy: -7.5837 eV/atom
* formation enthalpy at 0 K: -276 meV per atom

---

VASP calculation (PBE) on a relaxed VCoB3 crystal.

Lattice parameters (Å, degrees): 8.8739 8.8739 2.9792 90.00 90.00 160.46
Atoms (fractional coordinates):
V: 0.0744 0.9256 0.7500
V: 0.9256 0.0744 0.2500
Co: 0.2038 0.7962 0.2500
Co: 0.7962 0.2038 0.7500
B: 0.3209 0.6791 0.2500
B: 0.3754 0.6246 0.7500
B: 0.4750 0.5250 0.7500
B: 0.5250 0.4750 0.2500
B: 0.6246 0.3754 0.2500
B: 0.6791 0.3209 0.7500

* volume: 7.8 A^3/atom
* space group: Cmcm
* raw total energy: -7.8617 eV/atom
* formation enthalpy at 0 K: -616 meV per atom

---

VASP calculation (PBE) on a relaxed V2Co21B6 crystal.

Lattice parameters (Å, degrees): 7.3616 7.3616 7.3616 60.00 60.00 60.00
Atoms (fractional coordinates):
V: 0.2500 0.2500 0.2500
V: 0.7500 0.7500 0.7500
Co: 0.0000 0.0000 0.0000
Co: 0.0000 0.0000 0.3381
Co: 0.0000 0.0000 0.6619
Co: 0.0000 0.3381 0.0000
Co: 0.0000 0.3381 0.6619
Co: 0.0000 0.6619 0.0000
Co: 0.0000 0.6619 0.3381
Co: 0.1410 0.6197 0.6197
Co: 0.3381 0.0000 0.0000
Co: 0.3381 0.0000 0.6619
Co: 0.3381 0.6619 0.0000
Co: 0.3803 0.3803 0.3803
Co: 0.3803 0.3803 0.8590
Co: 0.3803 0.8590 0.3803
Co: 0.6197 0.1410 0.6197
Co: 0.6197 0.6197 0.1410
Co: 0.6197 0.6197 0.6197
Co: 0.6619 0.0000 0.0000
Co: 0.6619 0.0000 0.3381
Co: 0.6619 0.3381 0.0000
Co: 0.8590 0.3803 0.3803
B: 0.2748 0.2748 0.7252
B: 0.2748 0.7252 0.2748
B: 0.2748 0.7252 0.7252
B: 0.7252 0.2748 0.2748
B: 0.7252 0.2748 0.7252
B: 0.7252 0.7252 0.2748

* volume: 9.7 A^3/atom
* space group: Fm-3m
* raw total energy: -7.4008 eV/atom
* formation enthalpy at 0 K: -245 meV per atom

---

VASP calculation (PBE) on a relaxed V3Co20B6 crystal.

Lattice parameters (Å, degrees): 7.3640 7.3640 7.3640 60.00 60.00 60.00
Atoms (fractional coordinates):
V: 0.0000 0.0000 0.0000
V: 0.2500 0.2500 0.2500
V: 0.7500 0.7500 0.7500
Co: 0.0000 0.0000 0.3392
Co: 0.0000 0.0000 0.6608
Co: 0.0000 0.3392 0.0000
Co: 0.0000 0.3392 0.6608
Co: 0.0000 0.6608 0.0000
Co: 0.0000 0.6608 0.3392
Co: 0.1403 0.6199 0.6199
Co: 0.3392 0.0000 0.0000
Co: 0.3392 0.0000 0.6608
Co: 0.3392 0.6608 0.0000
Co: 0.3801 0.3801 0.3801
Co: 0.3801 0.3801 0.8597
Co: 0.3801 0.8597 0.3801
Co: 0.6199 0.1403 0.6199
Co: 0.6199 0.6199 0.1403
Co: 0.6199 0.6199 0.6199
Co: 0.6608 0.0000 0.0000
Co: 0.6608 0.0000 0.3392
Co: 0.6608 0.3392 0.0000
Co: 0.8597 0.3801 0.3801
B: 0.2739 0.2739 0.7261
B: 0.2739 0.7261 0.2739
B: 0.2739 0.7261 0.7261
B: 0.7261 0.2739 0.2739
B: 0.7261 0.2739 0.7261
B: 0.7261 0.7261 0.2739

* volume: 9.7 A^3/atom
* space group: Fm-3m
* raw total energy: -7.4967 eV/atom
* formation enthalpy at 0 K: -273 meV per atom

---

Number 12 is which compound?
V3Co20B6